No. 1
Computed, not measured: a relaxed Nd7Rh3 crystal at the GGA-PBE level of DFT.

Cell lengths 6.323, 10.174, 10.174 Å; angles 120.01, 90.00, 90.00 degrees
Fractional coordinates of all 20 atoms:
1 Nd 0.465 0.333 0.667
2 Nd 0.965 0.667 0.333
3 Nd 0.252 0.126 0.874
4 Nd 0.252 0.749 0.874
5 Nd 0.252 0.126 0.251
6 Nd 0.752 0.874 0.126
7 Nd 0.752 0.251 0.126
8 Nd 0.752 0.874 0.749
9 Nd 0.442 0.542 0.458
10 Nd 0.442 0.916 0.458
11 Nd 0.442 0.542 0.084
12 Nd 0.942 0.458 0.542
13 Nd 0.942 0.084 0.542
14 Nd 0.942 0.458 0.916
15 Rh 0.182 0.811 0.189
16 Rh 0.182 0.377 0.189
17 Rh 0.182 0.811 0.623
18 Rh 0.682 0.189 0.811
19 Rh 0.682 0.623 0.811
20 Rh 0.682 0.189 0.377

## Properties
space-group type: P6_3mc, No. 186
crystal system: hexagonal
calculated formation energy: -497 meV per atom

No. 2
Computed, not measured: a relaxed CsNa2Si17 crystal at the GGA-PBE level of DFT.

Cell lengths 10.493, 10.493, 10.493 Å; angles 60.00, 60.00, 60.00 degrees
Fractional coordinates of all 40 atoms:
1 Cs 0.000 0.000 0.000
2 Cs 0.250 0.250 0.250
3 Na 0.625 0.625 0.625
4 Na 0.125 0.625 0.625
5 Na 0.625 0.625 0.125
6 Na 0.625 0.125 0.625
7 Si 0.995 0.995 0.619
8 Si 0.995 0.390 0.995
9 Si 0.390 0.995 0.619
10 Si 0.390 0.995 0.995
11 Si 0.619 0.995 0.995
12 Si 0.860 0.631 0.255
13 Si 0.255 0.631 0.255
14 Si 0.631 0.255 0.860
15 Si 0.255 0.255 0.860
16 Si 0.631 0.860 0.255
17 Si 0.860 0.255 0.631
18 Si 0.255 0.255 0.631
19 Si 0.255 0.860 0.255
20 Si 0.619 0.995 0.390
21 Si 0.619 0.390 0.995
22 Si 0.995 0.390 0.619
23 Si 0.995 0.619 0.390
24 Si 0.390 0.619 0.995
25 Si 0.995 0.619 0.995
26 Si 0.860 0.255 0.255
27 Si 0.631 0.255 0.255
28 Si 0.255 0.860 0.631
29 Si 0.408 0.777 0.408
30 Si 0.842 0.842 0.473
31 Si 0.473 0.842 0.842
32 Si 0.842 0.842 0.842
33 Si 0.777 0.408 0.408
34 Si 0.408 0.408 0.408
35 Si 0.408 0.408 0.777
36 Si 0.842 0.473 0.842
37 Si 0.500 0.500 0.500
38 Si 0.750 0.750 0.750
39 Si 0.995 0.995 0.390
40 Si 0.255 0.631 0.860

## Properties
space-group type: Fd-3m, No. 227
crystal system: cubic
calculated formation energy: 18 meV per atom

Q: The highest calculated formation energy belongs to which entry?
A: CsNa2Si17